No. 1
First-principles (r²SCAN) data for Yb3Ce after structural relaxation, as listed in the Materials Project database.

Properties
For the calculated formation energy, the calculation gives 0.09 eV per atom. The energy comes out at -140.06 eV for the cell shown. As for the space group: No. 225.

Cell and atoms, written as POSCAR:
```
Yb3Ce
1.0
-0.593 2.030 5.153
-1.448 5.326 0.746
-5.070 1.263 1.930
Yb Ce
3 1
Direct
0.500 0.500 0.500 Yb
0.250 0.250 0.250 Yb
0.750 0.750 0.750 Yb
0.000 0.000 0.000 Ce
```

=====

No. 2
First-principles (r²SCAN) data for Tm2Co3Si5 after structural relaxation, as listed in the Materials Project database.

Properties
For the calculated formation energy, the calculation gives -0.72 eV per atom. The energy comes out at -322.08 eV for the cell shown. As for the space group: No. 15.

Cell and atoms, written as POSCAR:
```
Tm2Co3Si5
1.0
-2.725 4.689 5.586
2.725 -4.689 5.586
2.733 4.694 -5.586
Co Si Tm
6 10 4
Direct
0.247 0.139 0.108 Co
0.969 0.362 0.608 Co
0.500 0.250 0.750 Co
0.031 0.638 0.392 Co
0.753 0.860 0.892 Co
0.500 0.750 0.250 Co
0.440 0.099 0.341 Si
0.275 0.525 0.250 Si
0.241 0.401 0.841 Si
0.560 0.901 0.659 Si
0.759 0.599 0.159 Si
0.275 0.025 0.750 Si
0.725 0.475 0.750 Si
0.725 0.975 0.250 Si
0.000 0.750 0.750 Si
0.000 0.250 0.250 Si
0.368 0.635 0.733 Tm
0.097 0.865 0.233 Tm
0.903 0.135 0.767 Tm
0.632 0.365 0.267 Tm
```

=====

No. 3
First-principles (r²SCAN) data for U2Sb4Pd after structural relaxation, as listed in the Materials Project database.

Properties
For the calculated formation energy, the calculation gives -0.62 eV per atom. The energy comes out at -290.01 eV for the cell shown. As for the space group: No. 115.

Cell and atoms, written as POSCAR:
```
U2Sb4Pd
1.0
4.413 0.000 0.000
0.000 4.413 0.000
0.000 0.000 9.392
Sb U Pd
4 2 1
Direct
0.000 0.000 0.500 Sb
0.000 0.500 0.844 Sb
0.500 0.000 0.156 Sb
0.500 0.500 0.500 Sb
0.000 0.500 0.237 U
0.500 0.000 0.763 U
0.500 0.500 0.000 Pd
```

=====

No. 4
First-principles (r²SCAN) data for PuAl3 after structural relaxation, as listed in the Materials Project database.

Properties
For the calculated formation energy, the calculation gives -0.36 eV per atom. The energy comes out at -108.00 eV for the cell shown. As for the space group: No. 123.

Cell and atoms, written as POSCAR:
```
PuAl3
1.0
-2.006 0.169 3.755
-2.687 -3.027 -1.299
2.616 -2.980 1.531
Al Pu
3 1
Direct
0.500 0.000 0.500 Al
0.000 0.500 0.500 Al
0.500 0.500 0.000 Al
0.000 0.000 0.000 Pu
```

=====

No. 5
First-principles (r²SCAN) data for Be2NiRu after structural relaxation, as listed in the Materials Project database.

Properties
For the calculated formation energy, the calculation gives -0.35 eV per atom. The energy comes out at -47.47 eV for the cell shown. As for the space group: No. 225.

Cell and atoms, written as POSCAR:
```
Be2NiRu
1.0
3.367 -1.698 -0.468
2.343 -0.423 2.962
0.606 -3.454 1.465
Ru Be Ni
1 2 1
Direct
0.000 0.000 0.000 Ru
0.750 0.750 0.750 Be
0.250 0.250 0.250 Be
0.500 0.500 0.500 Ni
```

=====

No. 6
First-principles (r²SCAN) data for SrCrSi4O10 after structural relaxation, as listed in the Materials Project database.

Properties
For the calculated formation energy, the calculation gives -2.97 eV per atom. The energy comes out at -690.56 eV for the cell shown. As for the space group: No. 130.

Cell and atoms, written as POSCAR:
```
SrCrSi4O10
1.0
7.461 0.000 0.000
0.000 7.461 0.000
0.000 0.000 15.629
O Si Cr Sr
40 16 4 4
Direct
0.239 0.618 0.914 O
0.239 0.382 0.414 O
0.787 0.213 0.250 O
0.249 0.539 0.132 O
0.118 0.739 0.414 O
0.618 0.239 0.586 O
0.287 0.287 0.250 O
0.382 0.761 0.586 O
0.039 0.251 0.132 O
0.539 0.249 0.368 O
0.787 0.787 0.750 O
0.751 0.539 0.632 O
0.761 0.382 0.914 O
0.039 0.749 0.632 O
0.749 0.961 0.368 O
0.751 0.461 0.132 O
0.713 0.287 0.750 O
0.749 0.039 0.868 O
0.382 0.239 0.086 O
0.761 0.618 0.414 O
0.287 0.713 0.750 O
0.739 0.118 0.086 O
0.251 0.039 0.368 O
0.213 0.213 0.750 O
0.118 0.261 0.914 O
0.961 0.749 0.132 O
0.261 0.882 0.086 O
0.249 0.461 0.632 O
0.882 0.261 0.414 O
0.618 0.761 0.086 O
0.882 0.739 0.914 O
0.961 0.251 0.632 O
0.251 0.961 0.868 O
0.461 0.249 0.868 O
0.213 0.787 0.250 O
0.461 0.751 0.368 O
0.739 0.882 0.586 O
0.261 0.118 0.586 O
0.713 0.713 0.250 O
0.539 0.751 0.868 O
0.823 0.741 0.651 Si
0.177 0.741 0.151 Si
0.323 0.759 0.849 Si
0.259 0.823 0.349 Si
0.241 0.323 0.151 Si
0.759 0.677 0.151 Si
0.741 0.177 0.349 Si
0.677 0.241 0.849 Si
0.741 0.823 0.849 Si
0.259 0.177 0.849 Si
0.241 0.677 0.651 Si
0.759 0.323 0.651 Si
0.177 0.259 0.651 Si
0.823 0.259 0.151 Si
0.677 0.759 0.349 Si
0.323 0.241 0.349 Si
0.500 0.000 0.586 Cr
0.500 0.000 0.086 Cr
0.000 0.500 0.414 Cr
0.000 0.500 0.914 Cr
0.500 0.500 0.000 Sr
0.000 0.000 0.500 Sr
0.000 0.000 0.000 Sr
0.500 0.500 0.500 Sr
```

=====

No. 7
First-principles (r²SCAN) data for NpB4H16 after structural relaxation, as listed in the Materials Project database.

Properties
For the calculated formation energy, the calculation gives -0.20 eV per atom. The energy comes out at -343.70 eV for the cell shown. As for the space group: No. 137.

Cell and atoms, written as POSCAR:
```
NpB4H16
1.0
8.814 0.000 0.002
0.000 8.815 0.000
-0.002 0.000 6.017
H B Np
32 8 2
Direct
0.000 0.254 0.977 H
0.853 0.887 0.258 H
0.156 0.500 0.163 H
0.500 0.844 0.837 H
0.500 0.156 0.837 H
0.353 0.613 0.242 H
0.500 0.246 0.523 H
0.746 0.000 0.023 H
0.387 0.648 0.758 H
0.113 0.148 0.742 H
0.888 0.853 0.742 H
0.853 0.113 0.258 H
0.500 0.754 0.523 H
0.844 0.500 0.163 H
0.754 0.500 0.477 H
0.612 0.647 0.758 H
0.113 0.852 0.742 H
0.000 0.746 0.977 H
0.656 0.000 0.337 H
0.647 0.613 0.242 H
0.387 0.352 0.758 H
0.147 0.887 0.258 H
0.888 0.147 0.742 H
0.000 0.344 0.663 H
0.254 0.000 0.023 H
0.147 0.113 0.258 H
0.246 0.500 0.477 H
0.000 0.656 0.663 H
0.647 0.387 0.242 H
0.344 0.000 0.337 H
0.612 0.353 0.758 H
0.353 0.387 0.242 H
0.768 0.000 0.228 B
0.268 0.500 0.272 B
0.500 0.732 0.728 B
0.732 0.500 0.272 B
0.000 0.232 0.772 B
0.000 0.768 0.772 B
0.500 0.268 0.728 B
0.232 0.000 0.228 B
0.500 0.500 0.500 Np
0.000 0.000 0.000 Np
```

=====

No. 8
First-principles (r²SCAN) data for RbFeF4 after structural relaxation, as listed in the Materials Project database.

Properties
For the calculated formation energy, the calculation gives -2.77 eV per atom. The energy comes out at -229.99 eV for the cell shown. As for the space group: No. 18.

Cell and atoms, written as POSCAR:
```
RbFeF4
1.0
-0.758 -0.176 -6.151
6.114 -4.600 -0.622
-4.547 -6.144 0.736
F Rb Fe
16 4 4
Direct
0.077 0.499 0.737 F
0.077 0.249 0.001 F
0.290 0.798 0.294 F
0.291 0.795 0.704 F
0.077 0.501 0.263 F
0.923 0.749 0.499 F
0.923 0.999 0.763 F
0.710 0.702 0.794 F
0.923 0.001 0.237 F
0.291 0.205 0.296 F
0.290 0.202 0.706 F
0.923 0.251 0.501 F
0.710 0.298 0.206 F
0.709 0.295 0.796 F
0.709 0.705 0.204 F
0.077 0.751 0.999 F
0.499 0.500 0.500 Rb
0.558 0.000 0.500 Rb
0.501 0.000 0.000 Rb
0.442 0.500 0.000 Rb
0.000 0.751 0.249 Fe
0.000 0.251 0.251 Fe
0.000 0.249 0.751 Fe
0.000 0.749 0.749 Fe
```

=====

No. 9
First-principles (r²SCAN) data for Ag2GeO3 after structural relaxation, as listed in the Materials Project database.

Properties
For the calculated formation energy, the calculation gives -0.98 eV per atom. The energy comes out at -321.63 eV for the cell shown. As for the space group: No. 19.

Cell and atoms, written as POSCAR:
```
Ag2GeO3
1.0
-2.070 3.658 2.036
0.131 -3.337 6.128
9.445 4.187 2.078
Ge Ag O
4 8 12
Direct
0.523 0.130 0.564 Ge
0.477 0.630 0.936 Ge
0.023 0.370 0.436 Ge
0.977 0.870 0.064 Ge
0.910 0.372 0.125 Ag
0.090 0.872 0.375 Ag
0.410 0.128 0.875 Ag
0.019 0.893 0.726 Ag
0.981 0.393 0.774 Ag
0.590 0.628 0.625 Ag
0.481 0.107 0.226 Ag
0.519 0.607 0.274 Ag
0.723 0.828 0.940 O
0.853 0.586 0.461 O
0.223 0.672 0.060 O
0.147 0.086 0.039 O
0.277 0.328 0.560 O
0.353 0.914 0.539 O
0.302 0.641 0.789 O
0.698 0.141 0.711 O
0.647 0.414 0.961 O
0.802 0.859 0.211 O
0.198 0.359 0.289 O
0.777 0.172 0.440 O
```

=====

No. 10
First-principles (r²SCAN) data for Nd2CdRh2 after structural relaxation, as listed in the Materials Project database.

Properties
For the calculated formation energy, the calculation gives -0.64 eV per atom. The energy comes out at -260.81 eV for the cell shown. As for the space group: No. 127.

Cell and atoms, written as POSCAR:
```
Nd2CdRh2
1.0
7.584 0.000 0.000
0.000 7.584 0.000
0.000 0.000 3.905
Cd Nd Rh
2 4 4
Direct
0.000 0.000 0.000 Cd
0.500 0.500 0.000 Cd
0.331 0.831 0.500 Nd
0.831 0.669 0.500 Nd
0.169 0.331 0.500 Nd
0.669 0.169 0.500 Nd
0.633 0.867 0.000 Rh
0.867 0.367 0.000 Rh
0.133 0.633 0.000 Rh
0.367 0.133 0.000 Rh
```

=====

No. 11
First-principles (r²SCAN) data for SiO2 after structural relaxation, as listed in the Materials Project database.

Properties
For the calculated formation energy, the calculation gives -3.03 eV per atom. The energy comes out at -238.46 eV for the cell shown. As for the space group: No. 14.

Cell and atoms, written as POSCAR:
```
SiO2
1.0
-4.427 0.000 2.558
0.000 -8.156 0.000
4.425 0.000 6.819
O Si
16 8
Direct
0.148 0.595 0.145 O
0.315 0.095 0.309 O
0.505 0.390 0.261 O
0.815 0.361 0.809 O
0.144 0.806 0.595 O
0.976 0.772 0.892 O
0.459 0.566 0.693 O
0.648 0.861 0.645 O
0.644 0.650 0.095 O
0.476 0.685 0.392 O
0.320 0.306 0.859 O
0.987 0.185 0.062 O
0.820 0.150 0.359 O
0.005 0.066 0.761 O
0.959 0.890 0.193 O
0.487 0.272 0.562 O
0.943 0.877 0.724 Si
0.432 0.729 0.581 Si
0.532 0.227 0.373 Si
0.032 0.229 0.873 Si
0.932 0.727 0.081 Si
0.520 0.377 0.730 Si
0.443 0.580 0.224 Si
0.020 0.080 0.230 Si
```

=====

No. 12
First-principles (r²SCAN) data for K3AlF6 after structural relaxation, as listed in the Materials Project database.

Properties
For the calculated formation energy, the calculation gives -3.43 eV per atom. The energy comes out at -389.04 eV for the cell shown. As for the space group: No. 87.

Cell and atoms, written as POSCAR:
```
K3AlF6
1.0
-2.967 7.196 3.561
-0.801 -0.315 10.257
7.271 6.821 2.564
K F Al
15 30 5
Direct
0.620 0.891 0.321 K
0.489 0.679 0.892 K
0.737 0.175 0.351 K
0.380 0.109 0.679 K
0.750 0.500 0.500 K
0.500 0.000 0.000 K
0.088 0.649 0.175 K
0.059 0.321 0.108 K
0.263 0.825 0.649 K
0.167 0.892 0.321 K
0.833 0.108 0.679 K
0.250 0.500 0.500 K
0.511 0.321 0.108 K
0.912 0.351 0.825 K
0.941 0.679 0.892 K
0.124 0.814 0.938 F
0.062 0.062 0.814 F
0.452 0.224 0.872 F
0.015 0.792 0.604 F
0.618 0.397 0.792 F
0.538 0.308 0.615 F
0.722 0.521 0.035 F
0.590 0.792 0.604 F
0.364 0.567 0.704 F
0.410 0.208 0.396 F
0.938 0.938 0.186 F
0.677 0.872 0.776 F
0.876 0.186 0.062 F
0.323 0.128 0.224 F
0.210 0.000 0.000 F
0.790 0.000 0.000 F
0.462 0.692 0.385 F
0.807 0.604 0.208 F
0.243 0.035 0.479 F
0.068 0.296 0.567 F
0.548 0.776 0.128 F
0.278 0.479 0.965 F
0.636 0.433 0.296 F
0.153 0.385 0.308 F
0.193 0.396 0.792 F
0.985 0.208 0.396 F
0.757 0.965 0.521 F
0.932 0.704 0.433 F
0.847 0.615 0.692 F
0.382 0.603 0.208 F
0.593 0.603 0.212 Al
0.804 0.788 0.603 Al
0.196 0.212 0.397 Al
0.407 0.397 0.788 Al
0.000 0.000 0.000 Al
```